Cs2MnHgF6: optimized geometry, GGA+U.

Output
* calculated formation energy: -2.62 eV per atom
* space group: Fm-3m, No. 225
* calculated total energy: -4.448 eV per atom
* M_tot: 0.500 μB/atom

abc: 6.391 6.391 6.391
angles: 60.00 60.00 60.00
Fractional coordinates of all 10 atoms:
Cs 0.250 0.250 0.250
Cs 0.750 0.750 0.750
Mn 0.000 0.000 0.000
Hg 0.500 0.500 0.500
F 0.232 0.232 0.768
F 0.232 0.768 0.232
F 0.232 0.768 0.768
F 0.768 0.232 0.232
F 0.768 0.232 0.768
F 0.768 0.768 0.232

---

Cs2HgMoF6: optimized geometry, GGA+U.

Output
* calculated formation energy: -2.53 eV per atom
* space group: Fm-3m, No. 225
* calculated total energy: -4.376 eV per atom
* M_tot: 0.200 μB/atom

abc: 7.077 7.077 7.077
angles: 60.00 60.00 60.00
Fractional coordinates of all 10 atoms:
Cs 0.250 0.250 0.250
Cs 0.750 0.750 0.750
Hg 0.000 0.000 0.000
Mo 0.500 0.500 0.500
F 0.302 0.302 0.698
F 0.302 0.698 0.302
F 0.302 0.698 0.698
F 0.698 0.302 0.302
F 0.698 0.302 0.698
F 0.698 0.698 0.302

---

Cs2KMnF6: optimized geometry, GGA+U.

Output
* calculated formation energy: -2.94 eV per atom
* space group: Fm-3m, No. 225
* calculated total energy: -4.854 eV per atom
* M_tot: 0.400 μB/atom

abc: 6.518 6.518 6.518
angles: 60.00 60.00 60.00
Fractional coordinates of all 10 atoms:
Cs 0.250 0.250 0.250
Cs 0.750 0.750 0.750
K 0.000 0.000 0.000
Mn 0.500 0.500 0.500
F 0.284 0.284 0.716
F 0.284 0.716 0.284
F 0.284 0.716 0.716
F 0.716 0.284 0.284
F 0.716 0.284 0.716
F 0.716 0.716 0.284